DFT (meta-GGA r2SCAN) results for a relaxed structure of Er3Co2Ge4.

As for the magnetic moment: 0.0 μB/f.u. The formation enthalpy at 0 K is -0.7183 eV/atom. The calculated total energy comes out at -21.13 eV per atom.

It has space group C2/m (No. 12), with a = 10.531 Å, b = 4.091 Å, c = 7.901 Å, α = 90.00°, β = 107.60° and γ = 90.00°. The inequivalent atoms are Er at (0.000, 0.000, 0.000), Er at (0.124, 0.500, 0.692), Co at (0.193, 0.500, 0.374), Ge at (0.096, 0.000, 0.399) and Ge at (0.208, 0.500, 0.080).

DFT (meta-GGA r2SCAN) results for a relaxed structure of NaYbF4.

As for the magnetic moment: 0.0 μB/f.u. The formation enthalpy at 0 K is -4.0239 eV/atom. The calculated total energy comes out at -12.79 eV per atom.

It has space group P4/mmm (No. 123), with a = 3.702 Å, b = 3.702 Å, c = 5.387 Å, α = 90.00°, β = 90.00° and γ = 90.00°. The inequivalent atoms are Na at (0.000, 0.000, 0.000), Yb at (0.500, 0.500, 0.500) and F at (0.000, 0.500, 0.270).

Question: Which formula does entry 2 have?
Answer: NaYbF4

Question: formation enthalpy at 0 K of number 1 (Er3Co2Ge4)?
Answer: -0.7183 eV/atom

Question: Among the records above, which one has the highest calculated total energy?
Answer: NaYbF4

Question: What is the magnetic moment in the second record?
Answer: 0.0 μB/f.u.